This record from Materials Project describes a relaxed structure of Re2MoSe4. The functional is GGA-PBE.

Summary:
**Maximum piezoelectric response**: 0.079 C/m²
**Crystal system**: triclinic
**Volume**: 21.7 Å³/atom
**DFT formation energy**: -0.74 eV per atom

Cell: 6.733 6.734 6.736 Å, 93.62 93.40 93.56°
Fractional coordinates of all 14 atoms:
Re (0.000, 0.000, 0.000)
Re (0.040, 0.218, 0.349)
Re (0.690, 0.179, 0.133)
Re (0.868, 0.310, 0.822)
Mo (0.219, 0.351, 0.039)
Mo (0.910, 0.529, 0.173)
Se (0.084, 0.638, 0.850)
Se (0.184, 0.133, 0.711)
Se (0.242, 0.549, 0.377)
Se (0.327, 0.027, 0.218)
Se (0.582, 0.494, 0.956)
Se (0.668, 0.978, 0.801)
Se (0.722, 0.392, 0.461)
Se (0.825, 0.894, 0.318)